This record from the Materials Project describes an optimized crystal structure of Li3Mn3P4O16. The functional is PBE with a Hubbard U.

```
52
Lattice="6.004 0.000 0.000 0.000 9.631 0.000 0.000 4.678 10.048" Properties=species:S:1:pos:R:3 pbc="T T T"
Li 1.663 2.415 5.158
Li 3.045 9.681 7.309
Li 1.561 9.541 9.888
Li 4.341 7.230 5.158
Li 2.959 4.865 7.309
Li 4.443 4.726 9.888
Mn 0.042 12.011 7.772
Mn 0.012 9.334 2.850
Mn 5.961 7.196 7.772
Mn 2.986 6.976 2.147
Mn 5.992 4.518 2.850
Mn 3.018 2.161 2.147
P 2.929 12.233 9.098
P 5.985 9.981 5.985
P 2.978 9.225 4.044
P 3.075 7.418 9.098
P 5.960 6.796 0.980
P 0.018 5.165 5.985
P 3.026 4.410 4.044
P 0.043 1.981 0.980
O 1.687 12.902 8.392
O 4.174 12.928 8.466
O 0.009 11.030 9.570
O 2.898 10.726 9.047
O 2.943 10.763 3.842
O 1.239 10.668 6.610
O 4.852 10.735 6.761
O 6.001 10.385 4.466
O 3.033 8.805 5.486
O 1.800 8.539 3.244
O 4.211 8.544 3.301
O 5.903 8.460 6.101
O 5.952 8.335 1.151
O 2.967 8.058 0.564
O 1.830 8.112 8.466
O 4.317 8.086 8.392
O 5.995 6.215 9.570
O 4.766 6.141 1.738
O 1.183 6.103 1.698
O 3.106 5.910 9.047
O 3.061 5.947 3.842
O 4.765 5.853 6.610
O 1.152 5.919 6.761
O 0.002 5.570 4.466
O 2.971 3.989 5.486
O 1.793 3.729 3.301
O 4.204 3.723 3.244
O 0.100 3.645 6.101
O 0.052 3.519 1.151
O 3.036 3.242 0.564
O 4.820 1.288 1.698
O 1.238 1.325 1.738
```

Offset from the most stable computed form, meV per atom: 24
ΔE_f, meV per atom: -2511
Electronic total energy, eV/atom: -7.051
Magnetic moment, μB/f.u.: 12.004